[1]
! r2SCAN La3AsBr3, relaxed; values from VASP
! Symmetry = I4_132
! Calculated density = 5.4 g/cm³
! Formation enthalpy at 0 K = -1319 kJ/mol of formula units
! Total energy = -629.54 eV per cell
&SYSTEM
  ibrav = 0, nat = 28, ntyp = 3
/
ATOMIC_SPECIES
La 138.91 La.upf
Br 79.90 Br.upf
As 74.92 As.upf
CELL_PARAMETERS angstrom
-6.097 6.097 6.097
6.097 -6.097 6.097
6.097 6.097 -6.097
ATOMIC_POSITIONS crystal
La 0.481 0.490 0.240
La 0.010 0.490 0.750
Br 0.994 0.506 0.250
As 0.500 0.000 0.250
Br 0.506 0.756 0.513
Br 0.756 0.513 0.506
Br 0.987 0.744 0.994
Br 0.506 0.250 0.994
Br 0.513 0.506 0.756
La 0.490 0.240 0.481
As 0.250 0.250 0.250
As 0.250 0.500 0.000
La 0.240 0.481 0.490
Br 0.250 0.756 0.744
Br 0.756 0.744 0.250
La 0.260 0.750 0.240
La 0.750 0.010 0.490
La 0.010 0.019 0.260
La 0.750 0.240 0.260
La 0.019 0.260 0.010
La 0.490 0.750 0.010
La 0.240 0.260 0.750
Br 0.744 0.250 0.756
Br 0.994 0.987 0.744
Br 0.744 0.994 0.987
As 0.000 0.250 0.500
Br 0.250 0.994 0.506
La 0.260 0.010 0.019


[2]
! r2SCAN Pr3AsBr3, relaxed; values from VASP
! Symmetry = I4_132
! Calculated density = 5.6 g/cm³
! Formation enthalpy at 0 K = -1252 kJ/mol of formula units
! Total energy = -622.67 eV per cell
&SYSTEM
  ibrav = 0, nat = 28, ntyp = 3
/
ATOMIC_SPECIES
Br 79.90 Br.upf
Pr 140.91 Pr.upf
As 74.92 As.upf
CELL_PARAMETERS angstrom
-3.249 -4.499 8.840
-2.912 10.022 -0.077
-4.242 -4.918 -8.170
ATOMIC_POSITIONS crystal
Br 0.994 0.506 0.250
Pr 0.489 0.750 0.011
Pr 0.261 0.011 0.022
Br 0.744 0.994 0.988
Pr 0.478 0.489 0.239
Br 0.512 0.506 0.756
As 0.250 0.250 0.250
As 0.000 0.250 0.500
Pr 0.239 0.478 0.489
Br 0.250 0.994 0.506
Pr 0.750 0.239 0.261
Br 0.250 0.756 0.744
Pr 0.239 0.261 0.750
Pr 0.011 0.489 0.750
As 0.500 0.000 0.250
Pr 0.022 0.261 0.011
Br 0.988 0.744 0.994
Br 0.506 0.756 0.512
Pr 0.011 0.022 0.261
As 0.250 0.500 0.000
Pr 0.489 0.239 0.478
Pr 0.750 0.011 0.489
Pr 0.261 0.750 0.239
Br 0.506 0.250 0.994
Br 0.756 0.744 0.250
Br 0.994 0.988 0.744
Br 0.756 0.512 0.506
Br 0.744 0.250 0.756


Question: Which of these has the lowest total energy?
Answer: La3AsBr3


Question: Which value of formation enthalpy at 0 K does entry 1 give?
Answer: -1319 kJ/mol of formula units


Question: Look up the formation enthalpy at 0 K of the second one.
Answer: -1252 kJ/mol of formula units


Question: Which formula does entry 1 have?
Answer: La3AsBr3